P) Material: Li3Co2C4O12
Method: DFT, PBE with a Hubbard U
State: relaxed

Computed properties:
The crystal system is triclinic. The calculation puts the calculated volume at 11.288 Å³/atom. Its symmetry is P1.

Cell lengths 6.3739, 7.8364, 5.2086 Å; angles 89.56, 114.33, 90.25 degrees
With the nearest neighbours (Å) after each atom.
Fractional positions:
Co: 0.4856 0.5013 0.9805  6 O 2.10-2.20
O: 0.6138 0.3774 0.7152  1 C 1.29
Li: 0.7962 0.5568 0.6065  4 O 2.04-2.24
Co: 0.0018 0.9943 0.9954  4 O 1.91-1.97
Li: 0.6547 0.0680 0.3640  3 O 1.93-2.14
O: 0.6545 0.0888 0.7498  1 C 1.31
C: 0.6248 0.2361 0.8486  3 O 1.29-1.31
C: 0.8796 0.7404 0.1436  3 O 1.25-1.32
O: 0.9007 0.7555 0.9034  1 C 1.32
O: 0.9189 0.8868 0.2810  1 C 1.32
O: 0.5950 0.2431 0.0801  1 C 1.30
C: 0.1158 0.2548 0.8687  3 O 1.26-1.33
O: 0.0927 0.2245 0.1029  1 C 1.31
O: 0.3864 0.7599 0.9017  1 C 1.30
O: 0.3504 0.9162 0.2462  1 C 1.31
O: 0.0862 0.1138 0.7186  1 C 1.33
O: 0.1505 0.4007 0.7909  1 C 1.26
Li: 0.3357 0.9428 0.6274  2 O 1.95-2.04
O: 0.4408 0.6350 0.3078  1 C 1.28
C: 0.3914 0.7700 0.1537  3 O 1.28-1.31
O: 0.8306 0.6039 0.2340  1 C 1.25



Q) Material: Li3Co2C4O12
Method: DFT, PBE with a Hubbard U
State: relaxed

Computed properties:
The crystal system is triclinic. The calculation puts the calculated volume at 11.989 Å³/atom. Its symmetry is P1.

Cell lengths 6.3885, 8.5928, 9.9257 Å; angles 107.09, 99.99, 97.36 degrees
With the nearest neighbours (Å) after each atom.
Fractional positions:
C: 0.4142 0.6972 0.5361  3 O 1.29-1.31
Li: 0.8796 0.3187 0.9182  3 O 1.91-2.00
O: 0.2827 0.0681 0.6310  1 C 1.28
O: 0.0831 0.7971 0.1450  1 C 1.29
Li: 0.3665 0.3084 0.4149  4 O 1.92-2.04
O: 0.3225 0.6702 0.8474  1 C 1.31
O: 0.6439 0.2564 0.0338  1 C 1.31
O: 0.5767 0.7880 0.6373  1 C 1.29
C: 0.9252 0.6969 0.0448  3 O 1.29-1.31
O: 0.2639 0.9280 0.9278  1 C 1.27
O: 0.3234 0.7627 0.4446  1 C 1.30
Co: 0.1668 0.4929 0.6603  5 O 1.96-2.10
O: 0.8578 0.4485 0.6587  1 C 1.32
C: 0.7484 0.2055 0.1340  3 O 1.27-1.31
O: 0.1476 0.2479 0.5278  1 C 1.30
Co: 0.6925 0.4795 0.1754  5 O 1.88-2.01
O: 0.3422 0.5438 0.5268  1 C 1.31
Li: 0.2848 0.6748 0.2289  4 O 1.99-2.04
O: 0.0853 0.7509 0.7033  1 C 1.31
O: 0.7982 0.6666 0.3412  1 C 1.33
Co: 0.0715 0.0017 0.0693  5 O 2.04-2.26
O: 0.5969 0.2316 0.5137  1 C 1.28
C: 0.7490 0.2962 0.6266  3 O 1.28-1.32
Li: 0.0575 0.8587 0.5381  4 O 2.02-2.21
O: 0.7734 0.9268 0.4387  1 C 1.28
O: 0.8652 0.5450 0.0432  1 C 1.31
C: 0.7130 0.7954 0.3276  3 O 1.28-1.33
O: 0.3756 0.4505 0.1743  1 C 1.32
O: 0.8308 0.7514 0.9463  1 C 1.29
O: 0.5793 0.7782 0.2099  1 C 1.28
O: 0.8210 0.3240 0.2567  1 C 1.30
C: 0.2229 0.7885 0.8275  3 O 1.27-1.31
O: 0.3038 0.3392 0.7574  1 C 1.30
Li: 0.7793 0.6759 0.7331  4 O 1.98-2.08
O: 0.7922 0.2096 0.7113  1 C 1.30
O: 0.2993 0.2024 0.2095  1 C 1.30
Co: 0.5622 0.0026 0.5702  6 O 2.07-2.27
Li: 0.5583 0.8416 0.0290  4 O 2.01-2.18
C: 0.2455 0.2136 0.6392  3 O 1.28-1.30
C: 0.2597 0.2997 0.1331  3 O 1.28-1.32
O: 0.1046 0.2437 0.0212  1 C 1.28
O: 0.7766 0.0571 0.1106  1 C 1.27



R) Material: Li3Co2C4O12
Method: DFT, PBE with a Hubbard U
State: relaxed

Computed properties:
The crystal system is monoclinic. The calculation puts the calculated volume at 13.095 Å³/atom. Its symmetry is P2_1.

Cell lengths 9.7190, 7.0348, 8.5785 Å; angles 69.68, 90.00, 90.00 degrees
With the nearest neighbours (Å) after each atom.
Fractional positions:
O: 0.4115 0.0928 0.1068  1 C 1.32
C: 0.1142 0.4889 0.0273  3 O 1.29-1.31
Co: 0.1400 0.8052 0.6751  5 O 1.98-2.15
Li: 0.6050 0.7479 0.5995  4 O 2.00-2.16
O: 0.8784 0.5232 0.6834  1 C 1.33
O: 0.7943 0.9130 0.5854  1 C 1.30
O: 0.1273 0.0069 0.7975  1 C 1.30
Li: 0.3847 0.7477 0.9068  4 O 1.97-2.15
O: 0.1056 0.5545 0.6262  1 C 1.32
O: 0.4826 0.4867 0.9844  1 C 1.29
O: 0.5184 0.8417 0.0502  1 C 1.28
Co: 0.6400 0.1948 0.3249  5 O 1.98-2.15
Co: 0.3684 0.2964 0.1961  4 O 1.89-2.07
O: 0.1989 0.5814 0.9092  1 C 1.29
C: 0.8847 0.0086 0.4741  3 O 1.29-1.30
O: 0.0184 0.1583 0.9498  1 C 1.28
O: 0.0147 0.9760 0.4968  1 C 1.29
O: 0.9826 0.5133 0.0156  1 C 1.29
O: 0.6989 0.4186 0.0908  1 C 1.29
C: 0.9849 0.4842 0.6025  3 O 1.25-1.33
O: 0.8441 0.1414 0.3350  1 C 1.29
C: 0.3847 0.9914 0.5259  3 O 1.29-1.30
Li: 0.8847 0.2523 0.0932  4 O 1.97-2.15
C: 0.5198 0.9755 0.1194  3 O 1.28-1.32
C: 0.6142 0.5111 0.9727  3 O 1.29-1.31
C: 0.4849 0.5158 0.3975  3 O 1.25-1.33
O: 0.9115 0.9072 0.8932  1 C 1.32
Li: 0.1808 0.3200 0.8160  2 O 2.01-2.05
O: 0.6056 0.4455 0.3738  1 C 1.32
O: 0.3441 0.8586 0.6650  1 C 1.29
O: 0.2943 0.0870 0.4146  1 C 1.30
Li: 0.1050 0.2521 0.4005  4 O 2.00-2.16
O: 0.9721 0.3775 0.5139  1 C 1.25
C: 0.0198 0.0245 0.8806  3 O 1.28-1.32
O: 0.3784 0.4768 0.3166  1 C 1.33
O: 0.6273 0.9931 0.2025  1 C 1.30
O: 0.4721 0.6225 0.4861  1 C 1.25
Co: 0.8684 0.7036 0.8039  4 O 1.89-2.07
Li: 0.6808 0.6800 0.1840  2 O 2.01-2.05
O: 0.1646 0.3556 0.1632  1 C 1.31
O: 0.6646 0.6444 0.8368  1 C 1.31
O: 0.5147 0.0240 0.5032  1 C 1.29



S) Material: Li3Co2C4O12
Method: DFT, PBE with a Hubbard U
State: relaxed

Computed properties:
The crystal system is triclinic. The calculation puts the calculated volume at 11.692 Å³/atom. Its symmetry is P1.

Cell lengths 5.6050, 6.0864, 8.3357 Å; angles 85.23, 104.92, 116.60 degrees
With the nearest neighbours (Å) after each atom.
Fractional positions:
O: 0.6259 0.1526 0.5413  1 C 1.32
O: 0.4969 0.0019 0.7777  1 C 1.28
O: 0.9196 0.8389 0.4547  1 C 1.32
Li: 0.4606 0.9044 0.3367  3 O 1.92-2.10
O: 0.1228 0.9284 0.2401  1 C 1.28
Co: 0.6787 0.4949 0.4987  6 O 1.98-2.14
O: 0.7290 0.9467 0.2049  1 C 1.29
Li: 0.1907 0.0882 0.6524  3 O 1.97-2.09
O: 0.9277 0.1050 0.7621  1 C 1.30
O: 0.2261 0.3866 0.0669  1 C 1.29
O: 0.6026 0.3924 0.2554  1 C 1.29
O: 0.7368 0.6620 0.9334  1 C 1.27
Li: 0.3119 0.6169 0.8628  4 O 2.05-2.24
Co: 0.9283 0.0271 0.0101  5 O 2.06-2.13
C: 0.3839 0.4276 0.2147  3 O 1.29-1.31
C: 0.7258 0.5869 0.7930  3 O 1.27-1.32
O: 0.9341 0.5986 0.7458  1 C 1.30
O: 0.3326 0.5051 0.3381  1 C 1.31
C: 0.9238 0.9023 0.3000  3 O 1.28-1.32
O: 0.4878 0.4957 0.6796  1 C 1.32
C: 0.6824 0.0853 0.6957  3 O 1.28-1.32



Energy comparison, zero being the most stable, in kJ/mol of atoms: P) 0.8; Q) 0.0; R) 8.2; S) 2.5.